[1]
Below is an optimized crystal structure of Zr2NiAs2, with properties calculated at the PBE-GGA level.

Geometry as POSCAR:
```
Zr2NiAs2
1.0
1.975 -3.421 0.000
1.975 3.421 0.000
0.000 0.000 13.165
Zr Ni As
4 2 4
Cartesian
1.975 -1.140 5.115
1.975 1.140 11.697
1.975 1.140 8.050
1.975 -1.140 1.468
0.000 0.000 9.873
0.000 0.000 3.291
1.975 1.140 3.291
0.000 0.000 0.000
0.000 0.000 6.582
1.975 -1.140 9.873
```

=====

[2]
Below is an optimized crystal structure of Rb3Mn, with properties calculated at the PBE-GGA level.

Geometry as POSCAR:
```
Rb3Mn
1.0
-5.530 2.756 3.120
-3.855 4.700 -3.309
-6.368 -1.645 -2.156
Rb Mn
3 1
Cartesian
-3.938 1.453 -0.586
-11.815 4.359 -1.759
-7.877 2.906 -1.173
0.000 0.000 0.000
```

Output
Total magnetic moment in Bohr magnetons per cell: 4.307

=====

[3]
Below is an optimized crystal structure of CdIrO3, with properties calculated at the PBE-GGA level.

Geometry as POSCAR:
```
CdIrO3
1.0
-1.242 3.240 4.218
-0.322 -5.426 0.537
14.325 -0.401 4.525
Cd Ir O
6 6 18
Cartesian
5.292 -0.148 1.672
9.033 -0.253 2.853
9.133 0.069 6.171
12.873 -0.035 7.353
-0.111 -2.552 1.928
3.629 -2.657 3.109
2.309 -0.065 0.729
12.016 -0.337 3.796
6.149 0.153 5.229
1.531 0.282 3.770
11.230 -2.870 5.510
6.613 -2.740 4.051
0.898 0.811 1.918
11.864 -3.398 7.363
0.072 1.430 4.587
12.690 -4.017 4.693
0.262 -1.299 3.744
12.500 -1.288 5.536
5.980 -2.212 2.199
2.942 -0.593 2.582
5.154 -1.593 4.868
2.526 2.029 4.131
5.344 -4.322 4.025
2.015 -0.669 5.511
9.820 -1.994 6.698
6.782 -0.375 7.081
10.235 -4.616 5.150
7.608 -0.994 4.412
10.747 -1.918 3.769
7.418 1.734 5.255
```

Output
Total magnetic moment in Bohr magnetons per cell: 2.821

=====

[4]
Below is an optimized crystal structure of Na2Ti2SiP2O12, with properties calculated at the PBE-GGA level.

Geometry as POSCAR:
```
Na2Ti2SiP2O12
1.0
8.736 0.015 -0.002
-4.355 7.573 0.002
-0.006 0.004 22.272
Na Ti Si P O
12 12 6 12 72
Cartesian
-2.765 4.810 5.572
-1.170 7.579 16.708
1.605 7.336 13.001
-1.166 2.528 1.865
5.547 5.070 20.422
2.767 0.247 9.285
-4.347 7.567 11.138
-4.349 7.571 22.274
4.372 2.534 18.562
4.376 2.533 7.426
0.083 5.098 3.714
0.004 4.969 14.851
8.660 0.018 7.866
8.692 0.081 19.002
-4.314 7.571 14.431
-4.330 7.537 3.294
4.407 2.510 15.278
4.414 2.514 4.141
4.318 2.513 21.849
4.366 2.590 10.713
-0.046 5.115 0.441
-0.074 5.072 11.577
-0.009 4.985 6.995
0.056 5.105 18.131
-1.248 2.170 5.548
1.875 7.586 16.684
3.060 0.355 12.973
5.607 4.759 1.837
-1.252 7.299 20.404
-2.563 5.021 9.268
2.532 0.037 5.587
3.083 5.407 5.568
1.237 2.217 16.704
5.612 5.379 16.723
6.899 2.559 12.988
3.115 4.709 13.009
5.617 0.332 1.852
1.863 2.534 1.873
2.506 5.063 20.430
-1.244 2.867 20.420
1.279 7.231 9.284
1.253 2.884 9.294
1.661 0.233 6.849
3.800 6.040 6.800
7.761 1.243 6.851
1.047 1.279 17.936
5.007 6.035 17.986
7.182 0.246 17.987
2.779 7.354 15.353
0.615 1.525 15.464
-3.321 6.302 15.492
3.371 6.292 4.328
-0.595 1.502 4.216
-2.735 7.311 4.356
6.006 2.787 14.237
3.801 1.023 14.291
3.380 3.825 14.241
5.398 3.783 3.155
4.973 0.991 3.101
2.761 2.746 3.105
2.751 2.295 0.617
4.978 4.037 0.515
5.398 1.256 0.627
3.370 1.260 11.652
3.766 4.060 11.753
5.990 2.287 11.763
1.620 5.279 21.664
-0.620 3.485 21.702
-1.003 6.277 21.681
1.056 6.381 10.566
0.623 3.544 10.528
-1.553 5.317 10.545
-1.593 4.819 7.954
0.602 6.578 8.059
1.020 3.763 8.036
-1.018 3.780 19.195
-0.592 6.560 19.090
1.629 4.825 19.172
-3.416 6.399 9.111
2.811 7.382 9.131
0.649 1.462 9.130
-0.609 1.464 20.267
-2.872 7.348 20.247
3.436 6.296 20.267
7.742 1.273 13.136
1.463 0.177 13.165
3.732 6.129 13.132
4.962 6.231 2.029
7.153 0.245 2.000
0.942 1.290 1.996
5.234 1.319 16.551
2.777 2.321 16.546
4.967 3.999 16.539
3.763 4.021 5.410
5.859 2.394 5.415
3.404 1.285 5.402
3.437 3.826 20.548
5.952 2.766 20.560
3.794 1.173 20.591
4.965 1.049 9.424
2.789 2.697 9.412
5.266 3.714 9.454
0.951 3.768 1.705
-1.483 4.813 1.697
0.640 6.507 1.700
-0.532 6.468 12.833
1.590 4.882 12.841
-0.938 3.782 12.836
-0.959 6.328 5.715
1.569 5.277 5.732
-0.616 3.682 5.717
0.592 3.593 16.868
-1.582 5.256 16.851
0.881 6.282 16.853
```

Output
Total magnetic moment in Bohr magnetons per cell: 0.000

=====

[5]
Below is an optimized crystal structure of SmCo12B6, with properties calculated at the PBE-GGA level.

Geometry as POSCAR:
```
SmCo12B6
1.0
3.677 -4.706 0.000
3.677 4.706 0.000
-2.347 0.000 5.492
Sm Co B
1 12 6
Cartesian
0.000 0.000 0.000
2.504 3.457 2.746
0.291 -1.729 4.764
4.716 -1.729 0.729
4.716 1.729 0.729
0.291 1.729 4.764
2.504 -3.457 2.746
3.714 1.276 2.980
2.081 0.000 4.469
3.714 -1.276 2.980
1.294 -1.276 2.513
2.927 0.000 1.024
1.294 1.276 2.513
2.216 -2.083 4.215
4.882 0.000 1.784
2.216 2.083 4.215
2.792 2.083 1.277
0.126 0.000 3.708
2.792 -2.083 1.277
```

Output
Total magnetic moment in Bohr magnetons per cell: 6.993

=====

[6]
Below is an optimized crystal structure of Ba2ZnAg2Se2O2, with properties calculated at the PBE-GGA level.

Geometry as POSCAR:
```
Ba2ZnAg2Se2O2
1.0
3.080 -10.023 0.000
3.080 10.023 0.000
0.000 0.000 6.182
Ba Zn Ag Se O
4 2 4 4 4
Cartesian
3.080 -8.248 3.091
3.080 1.775 0.000
3.080 -1.775 0.000
3.080 8.248 3.091
0.000 0.000 0.000
3.080 0.000 3.091
4.607 -5.012 4.637
1.552 -5.012 1.546
4.607 5.012 4.637
1.552 5.012 1.546
3.080 -3.275 3.091
3.080 6.748 0.000
3.080 -6.748 0.000
3.080 3.275 3.091
4.846 0.000 1.339
1.314 0.000 4.843
1.766 0.000 1.752
4.394 0.000 4.430
```

Output
Total magnetic moment in Bohr magnetons per cell: 0.000

=====

[7]
Below is an optimized crystal structure of TiAs2H4O9, with properties calculated at the PBE-GGA level.

Geometry as POSCAR:
```
TiAs2H4O9
1.0
-5.141 0.432 0.451
-1.085 -6.084 -6.537
-0.702 -15.512 6.870
Ti As H O
4 8 16 36
Cartesian
-4.161 -1.336 -1.146
-2.485 -12.065 -1.499
-2.767 -19.827 1.930
-4.442 -9.098 2.283
-1.409 -1.548 0.813
-5.258 -11.853 -3.457
-5.519 -19.616 -0.029
-1.670 -9.311 4.240
-4.446 -4.439 -2.516
-2.011 -8.979 -0.146
-2.481 -16.725 3.300
-4.916 -12.185 0.930
-5.117 -14.435 1.480
-2.399 -14.464 2.760
-1.810 -6.728 -0.696
-4.529 -6.699 -1.976
-1.827 -16.454 -0.478
-3.673 -12.615 4.540
-5.100 -4.709 1.261
-3.255 -8.549 -3.757
-4.595 -16.273 0.234
-1.372 -12.756 3.870
-2.332 -4.890 0.550
-5.555 -8.407 -3.086
-2.392 -12.194 2.818
-5.497 -16.675 1.454
-4.535 -8.970 -2.034
-1.430 -4.489 -0.671
-2.872 -6.075 -5.138
-4.900 -7.232 2.592
-4.056 -15.089 5.922
-2.028 -13.931 -1.808
-4.972 -1.281 0.644
-3.591 -11.959 -3.121
-1.955 -19.882 0.140
-3.336 -9.204 3.904
-2.579 -2.149 -0.282
-6.105 -11.082 -2.185
-4.348 -19.015 1.066
-0.822 -10.082 2.968
-2.438 -8.693 -4.328
-4.185 -4.710 1.680
-4.489 -12.470 5.111
-2.742 -16.453 -0.897
-5.590 -4.682 -3.762
-2.866 -8.568 1.275
-1.337 -16.481 4.546
-4.061 -12.596 -0.492
-2.863 -4.237 -3.135
-5.542 -9.017 0.644
-4.064 -16.926 3.919
-1.385 -12.147 0.140
-4.880 -3.175 -1.447
-2.827 -10.138 -1.105
-2.047 -17.989 2.231
-4.100 -11.026 1.889
-4.474 -5.830 -1.471
-1.988 -7.587 -1.191
-2.454 -15.333 2.254
-4.939 -13.577 1.975
-1.541 -5.165 0.033
-4.652 -8.275 -2.718
-5.386 -15.998 0.751
-2.275 -12.889 3.501
```

Output
Total magnetic moment in Bohr magnetons per cell: 0.226

=====

| no. | VASP energy (eV/atom) | energy of formation (kJ/mol of atoms) |
| --- | --- | --- |
| 1 | -7.452 | -97.7 |
| 2 | -2.343 | 65.9 |
| 3 | -5.704 | -115.3 |
| 4 | -7.533 | -291.0 |
| 5 | -7.195 | -33.6 |
| 6 | -4.473 | -149.8 |
| 7 | -6.170 | -178.4 |